Model a:
Here is an optimized crystal structure of LiV2NiO6 from the Materials Project database. Energies are from GGA+U.

## Properties
Symmetry = C2, No. 5
Mass density = 3.6 g cm⁻³

Cell lengths 5.6163, 6.9211, 6.9213 Å; angles 102.48, 72.02, 107.98 degrees
Element x y z (fractional)
O 0.1901 0.6086 0.9654
O 0.1517 0.1966 0.9826
O 0.5686 0.4081 0.6949
O 0.3485 0.9827 0.1965
O 0.8524 0.7981 0.9908
O 0.3102 0.9657 0.6086
O 0.0573 0.3140 0.6367
O 0.8140 0.1071 0.3526
O 0.4426 0.6368 0.3140
O 0.9314 0.6952 0.4082
O 0.6476 0.9910 0.7981
O 0.6864 0.3528 0.1076
Li 0.7498 0.7225 0.7227
Li 0.2493 0.2714 0.2720
V 0.2636 0.8166 0.3780
V 0.7012 0.1605 0.6111
V 0.2364 0.3779 0.8164
V 0.7987 0.6113 0.1606
Ni 0.7502 0.0704 0.0703
Ni 0.2501 0.9129 0.9129

=====

Model b:
Here is an optimized crystal structure of LiV2NiO6 from the Materials Project database. Energies are from GGA+U.

## Properties
Symmetry = C2/c, No. 15
Mass density = 3.5 g cm⁻³

Cell lengths 6.8347, 6.8347, 5.7368 Å; angles 74.57, 74.57, 83.09 degrees
Element x y z (fractional)
O 0.6307 0.6469 0.0666
O 0.3693 0.3531 0.9334
O 0.3531 0.3693 0.4334
O 0.2015 0.0172 0.3546
O 0.6469 0.6307 0.5666
O 0.0172 0.2015 0.8546
O 0.9828 0.7985 0.1454
O 0.7985 0.9828 0.6454
O 0.9039 0.3610 0.3217
O 0.3610 0.9039 0.8217
O 0.0961 0.6390 0.6783
O 0.6390 0.0961 0.1783
V 0.8039 0.6081 0.2661
V 0.3919 0.1961 0.2339
V 0.1961 0.3919 0.7339
V 0.6081 0.8039 0.7661
Ni 0.9162 0.0838 0.2500
Ni 0.0838 0.9162 0.7500
Li 0.2465 0.7535 0.2500
Li 0.7535 0.2465 0.7500

=====

Last place for stability: model b